Entry 1:
Entry from the Materials Project database: a geometry-optimized Gd2W4O15 structure (PBE with a Hubbard U).

magnetic moment: 28.0 Bohr magnetons per cell
excess energy over the best structure of this formula in the dataset: 0.000 eV per atom
calculated density: 5.98 g/cm³
calculated total energy: -8.599 eV per atom
symmetry: P2_1/c (14)

```
Gd2W4O15
1.0
6.918 0.000 0.000
0.000 9.883 0.000
-2.941 0.000 10.472
Gd W O
4 8 30
Direct
0.213 0.024 0.278
0.213 0.476 0.778
0.787 0.524 0.222
0.787 0.976 0.722
0.083 0.744 0.012
0.083 0.756 0.512
0.385 0.096 0.845
0.385 0.404 0.345
0.615 0.596 0.655
0.615 0.904 0.155
0.917 0.244 0.488
0.917 0.256 0.988
0.021 0.126 0.397
0.021 0.374 0.897
0.118 0.167 0.100
0.118 0.333 0.600
0.122 0.057 0.818
0.122 0.443 0.318
0.223 0.653 0.919
0.223 0.847 0.419
0.252 0.635 0.617
0.252 0.865 0.117
0.388 0.222 0.353
0.388 0.278 0.853
0.444 0.028 0.705
0.444 0.472 0.205
0.500 0.000 0.000
0.500 0.500 0.500
0.556 0.528 0.795
0.556 0.972 0.295
0.612 0.722 0.147
0.612 0.778 0.647
0.748 0.135 0.883
0.748 0.365 0.383
0.777 0.153 0.581
0.777 0.347 0.081
0.878 0.557 0.682
0.878 0.943 0.182
0.882 0.667 0.400
0.882 0.833 0.900
0.979 0.626 0.103
0.979 0.874 0.603
```

Entry 2:
Entry from the Materials Project database: a geometry-optimized K2NaMnO4 structure (PBE with a Hubbard U).

magnetic moment: 8.0 Bohr magnetons per cell
calculated density: 2.77 g/cm³
calculated total energy: -5.337 eV per atom
symmetry: Fddd (70)

```
K2NaMnO4
1.0
0.000 5.751 8.655
5.297 0.000 8.655
5.297 5.751 0.000
K Na Mn O
8 4 4 16
Direct
0.058 0.692 0.692
0.265 0.265 0.485
0.308 0.942 0.942
0.485 0.485 0.265
0.515 0.515 0.735
0.692 0.058 0.058
0.735 0.735 0.515
0.942 0.308 0.308
0.033 0.033 0.717
0.283 0.283 0.967
0.717 0.717 0.033
0.967 0.967 0.283
0.131 0.619 0.131
0.381 0.869 0.381
0.619 0.131 0.619
0.869 0.381 0.869
0.027 0.384 0.884
0.082 0.655 0.356
0.116 0.796 0.973
0.204 0.884 0.384
0.345 0.918 0.594
0.356 0.406 0.082
0.384 0.027 0.204
0.406 0.356 0.655
0.594 0.644 0.345
0.616 0.973 0.796
0.644 0.594 0.918
0.655 0.082 0.406
0.796 0.116 0.616
0.884 0.204 0.027
0.918 0.345 0.644
0.973 0.616 0.116
```

Entry 3:
Entry from the Materials Project database: a geometry-optimized CdFe2O4 structure (PBE with a Hubbard U).

magnetic moment: 40.0 Bohr magnetons per cell
excess energy over the best structure of this formula in the dataset: 0.127 eV per atom
calculated density: 6.42 g/cm³
calculated total energy: -5.838 eV per atom
symmetry: Pmn2_1 (31)

```
CdFe2O4
1.0
2.988 0.000 0.000
0.000 9.311 0.000
0.000 0.000 10.716
Cd Fe O
4 8 16
Direct
0.000 0.004 0.000
0.000 0.508 0.188
0.500 0.492 0.688
0.500 0.996 0.500
0.000 0.164 0.742
0.000 0.188 0.228
0.000 0.666 0.447
0.000 0.682 0.957
0.500 0.318 0.457
0.500 0.334 0.947
0.500 0.812 0.728
0.500 0.836 0.242
0.000 0.165 0.415
0.000 0.282 0.055
0.000 0.365 0.831
0.000 0.468 0.502
0.000 0.661 0.772
0.000 0.763 0.130
0.000 0.858 0.378
0.000 0.959 0.681
0.500 0.041 0.181
0.500 0.142 0.878
0.500 0.237 0.630
0.500 0.339 0.272
0.500 0.532 0.002
0.500 0.635 0.331
0.500 0.718 0.555
0.500 0.835 0.915
```

Entry 4:
Entry from the Materials Project database: a geometry-optimized Na5MnO5 structure (PBE with a Hubbard U).

magnetic moment: 4.0 Bohr magnetons per cell
calculated density: 2.76 g/cm³
calculated total energy: -4.877 eV per atom
symmetry: C2/c (15)

```
Na5MnO5
1.0
3.119 -5.060 0.000
3.119 5.060 0.000
-2.885 0.000 9.523
Na Mn O
10 2 10
Direct
0.060 0.281 0.555
0.162 0.838 0.750
0.171 0.482 0.920
0.281 0.060 0.055
0.482 0.171 0.420
0.518 0.829 0.580
0.719 0.940 0.945
0.829 0.518 0.080
0.838 0.162 0.250
0.940 0.719 0.445
0.405 0.595 0.250
0.595 0.405 0.750
0.099 0.310 0.107
0.207 0.551 0.372
0.310 0.099 0.607
0.419 0.581 0.750
0.449 0.793 0.128
0.551 0.207 0.872
0.581 0.419 0.250
0.690 0.901 0.393
0.793 0.449 0.628
0.901 0.690 0.893
```

Entry 5:
Entry from the Materials Project database: a geometry-optimized Fe4O3F5 structure (PBE with a Hubbard U).

magnetic moment: 38.0 Bohr magnetons per cell
excess energy over the best structure of this formula in the dataset: 0.048 eV per atom
calculated density: 4.30 g/cm³
calculated total energy: -5.889 eV per atom
symmetry: Cm (8)

```
Fe4O3F5
1.0
4.787 -3.091 0.000
4.787 3.091 0.000
-4.105 0.000 9.560
Fe O F
8 6 10
Direct
0.000 0.000 0.000
0.123 0.641 0.240
0.246 0.246 0.507
0.392 0.867 0.739
0.504 0.504 0.994
0.641 0.123 0.240
0.758 0.758 0.491
0.867 0.392 0.739
0.171 0.171 0.656
0.425 0.425 0.145
0.580 0.580 0.843
0.683 0.683 0.643
0.833 0.833 0.345
0.929 0.929 0.150
0.076 0.076 0.847
0.115 0.590 0.894
0.144 0.666 0.594
0.327 0.327 0.345
0.365 0.844 0.393
0.417 0.890 0.096
0.590 0.115 0.894
0.666 0.144 0.594
0.844 0.365 0.393
0.890 0.417 0.096
```

Entry 6:
Entry from the Materials Project database: a geometry-optimized CaCu2Ni2O8 structure (PBE with a Hubbard U).

magnetic moment: 23.9 Bohr magnetons per cell
calculated density: 4.17 g/cm³
calculated total energy: -4.889 eV per atom
symmetry: P2_1/c (14)

```
CaCu2Ni2O8
1.0
6.396 0.000 0.000
0.000 8.504 0.000
-0.854 0.000 12.090
Ca Cu Ni O
4 8 8 32
Direct
0.170 0.179 0.484
0.170 0.321 0.984
0.830 0.679 0.016
0.830 0.821 0.516
0.269 0.694 0.882
0.269 0.806 0.382
0.415 0.039 0.859
0.415 0.461 0.359
0.585 0.539 0.641
0.585 0.961 0.141
0.731 0.194 0.618
0.731 0.306 0.118
0.081 0.024 0.174
0.081 0.476 0.674
0.385 0.602 0.136
0.385 0.898 0.636
0.615 0.102 0.364
0.615 0.398 0.864
0.919 0.524 0.326
0.919 0.976 0.826
0.011 0.713 0.380
0.011 0.787 0.880
0.140 0.105 0.849
0.140 0.395 0.349
0.155 0.012 0.314
0.155 0.488 0.814
0.185 0.599 0.020
0.185 0.901 0.520
0.314 0.023 0.101
0.314 0.477 0.601
0.357 0.648 0.284
0.357 0.852 0.784
0.469 0.100 0.619
0.469 0.400 0.119
0.473 0.231 0.919
0.473 0.269 0.419
0.527 0.731 0.581
0.527 0.769 0.081
0.531 0.600 0.881
0.531 0.900 0.381
0.643 0.148 0.216
0.643 0.352 0.716
0.686 0.523 0.399
0.686 0.977 0.899
0.815 0.099 0.480
0.815 0.401 0.980
0.845 0.512 0.186
0.845 0.988 0.686
0.860 0.605 0.651
0.860 0.895 0.151
0.989 0.213 0.120
0.989 0.287 0.620
```